Na2Mg4Nb4Si3S9O48 | the Materials Project | PBE | relaxed; M_tot = 0.00 μB per formula unit; calculated formation energy = -2438 meV/atom; calculated total energy = -1434.44 eV for the cell shown; ρ = 2.70 g cm⁻³
1.0
8.785 0.000 0.000
-0.021 15.185 0.000
-0.012 -0.029 22.875
Na Mg Nb Si S O
6 12 12 9 27 144
Cartesian
0.000 0.000 0.000
-0.014 5.100 15.124
0.013 5.146 3.632
4.361 12.680 3.615
4.408 7.590 11.525
4.411 12.610 15.168
8.782 0.000 3.301
0.011 5.043 11.894
0.006 10.168 4.312
0.065 5.117 0.414
4.361 12.689 0.429
4.381 2.500 4.265
4.360 12.724 11.872
4.383 2.592 15.761
4.401 7.609 14.828
4.408 7.627 8.004
8.724 10.068 15.817
8.768 0.014 19.452
8.771 5.103 7.103
0.007 0.007 8.203
0.002 10.145 10.929
0.016 5.131 18.629
0.038 10.123 22.273
4.328 2.522 10.887
4.357 2.534 22.307
4.351 12.690 7.207
4.405 12.579 18.457
4.446 7.692 19.627
4.486 7.614 3.283
8.670 0.005 14.781
1.206 2.979 9.573
1.894 12.629 9.596
2.489 5.089 20.995
3.184 10.575 21.030
5.631 14.802 9.642
5.692 9.680 16.988
6.175 0.125 17.275
6.956 7.710 5.790
7.513 7.173 21.117
1.245 7.967 1.949
1.250 2.209 17.135
1.253 12.368 1.937
1.252 13.011 17.123
1.290 7.257 9.547
1.850 2.551 1.924
1.866 7.569 17.084
2.543 0.009 5.653
2.531 10.125 13.364
3.045 14.827 20.990
3.125 4.768 13.369
3.130 5.408 5.689
3.137 0.355 13.393
3.133 9.808 5.689
5.603 10.439 9.593
5.677 0.342 1.913
5.659 5.404 17.114
5.678 4.696 1.950
6.243 5.146 9.593
6.254 10.229 1.947
6.915 2.603 13.379
6.908 12.736 21.030
7.512 2.192 5.659
7.492 12.292 13.377
7.498 13.038 5.661
7.507 7.892 13.323
7.556 2.829 21.029
0.495 3.518 17.195
0.521 3.532 10.849
0.578 13.693 1.965
0.616 1.497 15.923
0.618 8.605 9.710
0.654 6.671 8.304
0.689 6.612 1.852
0.702 8.664 3.094
0.692 11.660 0.713
0.718 1.470 9.115
0.731 11.696 16.857
0.738 13.622 18.334
0.885 11.325 9.779
0.887 13.834 9.114
0.915 6.315 17.264
0.976 3.729 1.788
0.977 3.899 8.217
0.966 11.574 3.126
0.999 8.759 0.690
0.996 13.908 15.903
1.008 8.730 16.941
1.040 1.429 18.342
1.040 6.445 10.721
1.066 1.296 1.938
1.528 4.736 19.655
1.517 10.413 21.228
1.565 10.067 12.106
1.592 5.318 5.786
1.610 15.078 20.825
1.646 0.256 13.482
1.665 4.920 13.210
1.687 5.275 22.313
1.679 10.266 14.530
1.716 0.138 6.877
1.700 14.939 4.473
1.740 10.060 5.423
2.642 2.441 16.850
2.640 7.232 15.892
2.656 7.665 18.310
2.694 2.707 3.108
2.716 12.535 1.801
2.721 7.469 9.327
2.720 12.910 10.873
2.763 2.439 0.691
2.752 7.855 2.095
2.771 12.971 17.168
2.816 12.344 8.213
2.851 2.803 9.789
3.259 8.854 13.269
3.294 14.048 22.193
3.331 6.289 4.476
3.349 9.034 6.901
3.370 11.524 19.699
3.407 3.963 14.546
3.394 11.301 13.196
3.424 1.160 5.535
3.405 13.930 5.834
3.426 1.164 12.111
3.474 3.734 21.237
3.477 6.237 20.478
3.624 6.026 6.906
3.621 9.042 20.651
3.670 4.085 5.449
3.689 1.070 14.519
3.690 4.040 12.135
3.689 14.308 19.776
3.725 1.029 21.214
3.710 14.202 13.271
3.763 9.111 4.488
3.804 6.081 13.386
3.831 11.114 22.336
3.884 11.134 5.770
4.853 9.245 15.717
4.929 14.109 8.265
4.971 6.054 2.065
4.978 11.214 17.388
5.003 1.123 9.827
5.036 9.108 9.392
5.051 11.071 10.773
5.047 14.190 1.750
5.062 4.089 16.962
5.111 4.084 0.707
5.120 0.975 3.111
5.132 6.047 18.328
5.247 1.284 16.821
5.238 8.818 18.340
5.295 6.243 9.397
5.300 13.876 17.369
5.348 1.186 0.692
5.350 3.910 3.129
5.350 8.968 2.111
5.359 11.380 1.832
5.413 11.291 8.347
5.464 3.860 9.746
5.552 6.245 15.916
5.544 13.910 10.901
5.923 7.387 4.399
5.967 7.441 20.697
5.995 12.847 5.893
6.013 7.757 7.035
6.035 2.695 21.215
6.037 7.805 13.314
6.049 12.477 13.246
6.072 2.738 14.545
6.078 2.376 5.523
6.090 12.502 19.802
6.087 12.961 22.209
6.128 2.360 12.133
7.031 9.967 0.716
7.074 5.378 10.757
7.084 10.349 3.127
7.104 4.938 8.353
7.117 4.901 1.841
7.106 10.318 9.747
7.156 0.258 1.960
7.168 0.197 18.481
7.177 5.203 17.335
7.167 15.095 9.128
7.207 14.969 15.858
7.239 9.963 17.013
7.628 13.905 4.487
7.673 6.314 22.394
7.713 3.666 19.798
7.709 11.449 21.229
7.804 1.355 13.533
7.815 1.391 6.868
7.805 3.763 13.252
7.834 6.253 5.912
7.841 11.494 14.529
7.852 8.758 12.083
7.870 13.825 20.861
7.941 8.845 5.384
8.029 13.723 6.875
8.043 11.666 12.102
8.069 8.536 14.497
8.091 3.455 22.224
8.108 1.490 20.853
8.129 3.588 5.889
8.121 11.739 5.537
8.135 6.572 13.132
8.181 1.655 4.475
8.175 8.691 21.279
8.182 13.647 13.465
8.209 6.510 19.722